Here is crystalline ErCdHg2 at its relaxed geometry from the Materials Project. Energies are from r²SCAN.

Structure (extended XYZ):
```
4
Lattice="0.000 3.550 3.550 3.550 0.000 3.550 3.550 3.550 0.000" Properties=species:S:1:pos:R:3 pbc="T T T"
Hg 1.775 1.775 1.775
Hg 5.325 5.325 5.325
Cd 3.550 3.550 3.550
Er 0.000 0.000 0.000
```

Values from the calculation:
Its symmetry is Fm-3m. For the electronic total energy, the calculation gives -154.35 eV/cell. As for the formation energy: -0.3969 eV/atom.


Here is crystalline LiYb2Cd at its relaxed geometry from the Materials Project. Energies are from r²SCAN.

Structure (extended XYZ):
```
4
Lattice="0.000 3.642 3.642 3.642 0.000 3.642 3.642 3.642 0.000" Properties=species:S:1:pos:R:3 pbc="T T T"
Yb 1.821 1.821 1.821
Yb 5.463 5.463 5.463
Cd 3.642 3.642 3.642
Li 0.000 0.000 0.000
```

Values from the calculation:
Its symmetry is Fm-3m. For the electronic total energy, the calculation gives -96.19 eV/cell. As for the formation energy: -0.1588 eV/atom.


Here is crystalline Ga10GePb3O20 at its relaxed geometry from the Materials Project. Energies are from r²SCAN.

Structure (extended XYZ):
```
34
Lattice="0.482 -6.878 -6.952 7.169 -6.116 2.656 -2.384 -4.071 1.982" Properties=species:S:1:pos:R:3 pbc="T T T"
O 3.082 -8.202 1.997
O 2.685 -13.254 -2.767
O 5.253 -14.563 -2.503
O 3.740 -8.384 -1.939
O 0.762 -4.018 -2.161
O 0.014 -2.502 0.189
O 3.308 -10.393 0.157
O 5.481 -10.998 2.139
O 1.780 -10.566 -2.038
O -0.213 -6.067 -4.453
O 0.735 -11.539 -4.680
O 4.532 -5.527 2.366
O 1.527 -8.681 -0.375
O 1.959 -6.673 -2.471
O 3.487 -6.499 -0.276
O 4.505 -13.047 -0.153
O 5.446 -8.493 0.374
O 2.186 -8.864 -4.311
O -0.179 -8.573 -2.688
O 2.582 -3.811 0.453
Ga 3.522 -8.431 0.119
Ga 4.157 -11.735 1.091
Ga 5.977 -13.582 -1.129
Ga 1.116 -3.275 1.438
Ga -0.709 -3.483 -1.185
Ga 1.110 -5.331 -3.405
Ga 4.152 -13.790 -3.752
Ga 1.745 -8.634 -2.433
Ga 1.305 -12.059 -3.007
Ga 3.962 -5.006 0.693
Ge 3.826 -6.497 -2.148
Pb 5.008 -10.293 -2.670
Pb 0.000 0.000 0.000
Pb 0.260 -6.773 0.356
```

Values from the calculation:
Its symmetry is C2/m. For the electronic total energy, the calculation gives -482.34 eV/cell. As for the formation energy: -1.9332 eV/atom.


Which value of electronic total energy does entry 1 give? -154.35 eV/cell


The lowest electronic total energy belongs to which entry? Ga10GePb3O20


Please write out number 1 again, unchanged.
Here is crystalline ErCdHg2 at its relaxed geometry from the Materials Project. Energies are from r²SCAN.

Structure (extended XYZ):
```
4
Lattice="0.000 3.550 3.550 3.550 0.000 3.550 3.550 3.550 0.000" Properties=species:S:1:pos:R:3 pbc="T T T"
Hg 1.775 1.775 1.775
Hg 5.325 5.325 5.325
Cd 3.550 3.550 3.550
Er 0.000 0.000 0.000
```

Values from the calculation:
Its symmetry is Fm-3m. For the electronic total energy, the calculation gives -154.35 eV/cell. As for the formation energy: -0.3969 eV/atom.